Computed, not measured: Na2Sc2Nb6Si7S5O48 after structural relaxation at the PBE-GGA level of DFT.

a = 8.9233 Å, b = 15.3944 Å, c = 23.0769 Å
α = 90.02°, β = 90.02°, γ = 90.01°
With the nearest neighbours (Å) after each atom.
Atoms (fractional coordinates):
Na (0.0000, 0.0000, 0.0000)  6 O 2.62-2.72
Na (0.0008, 0.0049, 0.5052)  4 O 2.46-2.73
Na (0.0082, 0.3366, 0.6648)  5 O 2.46-2.72
Na (0.5089, 0.8361, 0.1618)  3 O 2.41-2.57
Na (0.5106, 0.5057, 0.0012)  6 O 2.55-2.74
Na (0.5126, 0.5010, 0.5046)  6 O 2.57-2.82
Sc (0.0093, 0.0022, 0.6473)  5 O 1.94-2.15
Sc (0.0243, 0.3382, 0.8154)  3 O 1.95-2.01
Sc (0.4959, 0.8368, 0.3192)  2 O 1.92-1.93
Sc (0.5018, 0.5015, 0.1475)  6 O 1.94-2.15
Sc (0.5237, 0.8350, 0.0217)  4 O 1.97-2.13
Sc (0.9880, 0.3352, 0.5232)  4 O 1.99-2.09
Nb (0.0003, 0.3368, 0.3107)  5 O 1.93-2.06
Nb (0.0020, 0.6613, 0.1872)  4 O 1.87-2.08
Nb (0.0023, 0.6615, 0.6897)  4 O 1.87-2.01
Nb (0.0044, 0.6569, 0.4770)  4 O 1.88-1.95
Nb (0.0090, 0.0070, 0.1406)  4 O 1.90-1.95
Nb (0.0104, 0.3347, 0.0239)  6 O 1.94-2.15
Nb (0.0155, 0.0083, 0.8568)  5 O 1.89-2.09
Nb (0.0190, 0.0071, 0.3581)  3 O 1.88
Nb (0.4865, 0.5034, 0.8550)  4 O 1.88-1.97
Nb (0.4943, 0.5019, 0.6430)  5 O 1.91-2.02
Nb (0.4949, 0.5075, 0.3582)  4 O 1.88-2.04
Nb (0.4993, 0.8344, 0.5264)  5 O 1.92-2.05
Nb (0.5070, 0.1574, 0.9756)  4 O 1.86-1.97
Nb (0.5068, 0.1635, 0.1889)  4 O 1.87-2.06
Nb (0.5070, 0.1670, 0.6910)  6 O 1.93-2.13
Nb (0.5122, 0.8359, 0.8102)  5 O 1.92-2.05
Nb (0.5234, 0.1662, 0.4792)  4 O 1.87-1.96
Nb (0.9872, 0.6673, 0.9770)  4 O 1.87-1.98
Si (0.1462, 0.5208, 0.5838)  4 O 1.58-1.67
Si (0.1466, 0.4796, 0.9184)  4 O 1.59-1.67
Si (0.1503, 0.1468, 0.2499)  4 O 1.61-1.67
Si (0.1520, 0.1950, 0.9180)  4 O 1.58-1.69
Si (0.2183, 0.5018, 0.2493)  4 O 1.59-1.67
Si (0.2940, 0.0007, 0.7486)  4 O 1.59-1.68
Si (0.3579, 0.6959, 0.4185)  4 O 1.60-1.70
Si (0.3601, 0.3572, 0.7500)  4 O 1.61-1.66
Si (0.3610, 0.6470, 0.7490)  4 O 1.62-1.67
Si (0.3669, 0.0210, 0.0834)  4 O 1.58-1.68
Si (0.3673, 0.9794, 0.4187)  4 O 1.60-1.70
Si (0.6422, 0.6907, 0.9172)  4 O 1.59-1.67
Si (0.6497, 0.3108, 0.5853)  4 O 1.60-1.66
Si (0.6546, 0.9745, 0.9163)  4 O 1.59-1.67
Si (0.6556, 0.0239, 0.5857)  4 O 1.61-1.67
Si (0.7206, 0.6687, 0.5843)  4 O 1.62-1.65
Si (0.7883, 0.1719, 0.0837)  4 O 1.61-1.66
Si (0.8549, 0.5223, 0.0829)  4 O 1.60-1.68
Si (0.8577, 0.4753, 0.4167)  4 O 1.58-1.66
Si (0.8618, 0.8101, 0.0853)  4 O 1.60-1.67
Si (0.8644, 0.1945, 0.4179)  4 O 1.58-1.70
S (0.1461, 0.8109, 0.5838)  4 O 1.47-1.51
S (0.1486, 0.8576, 0.2496)  4 O 1.48-1.50
S (0.2183, 0.8344, 0.9174)  4 O 1.46-1.54
S (0.2204, 0.1684, 0.5841)  4 O 1.47-1.50
S (0.2917, 0.6683, 0.0842)  4 O 1.46-1.52
S (0.2926, 0.3340, 0.4173)  4 O 1.45-1.55
S (0.3643, 0.3109, 0.0836)  4 O 1.46-1.50
S (0.6479, 0.3578, 0.2509)  4 O 1.47-1.50
S (0.6497, 0.6473, 0.2507)  4 O 1.47-1.50
S (0.7175, 0.3349, 0.9181)  4 O 1.46-1.50
S (0.7199, 0.0001, 0.2500)  4 O 1.47-1.52
S (0.7900, 0.5001, 0.7502)  4 O 1.47-1.54
S (0.7948, 0.8348, 0.4179)  4 O 1.47-1.51
S (0.8617, 0.1468, 0.7507)  4 O 1.46-1.52
S (0.8640, 0.8577, 0.7508)  4 O 1.47-1.50
O (0.0724, 0.2361, 0.9758)  1 Si 1.64
O (0.0719, 0.4409, 0.8616)  1 Si 1.59
O (0.0733, 0.0958, 0.1955)  1 Si 1.63
O (0.0757, 0.5746, 0.6404)  1 Si 1.67
O (0.0774, 0.2404, 0.2629)  1 Si 1.61
O (0.0784, 0.0945, 0.9105)  1 Si 1.69
O (0.0785, 0.4263, 0.5807)  1 Si 1.58
O (0.0809, 0.7707, 0.2421)  1 S 1.48
O (0.0813, 0.8977, 0.3026)  1 S 1.50
O (0.0819, 0.7715, 0.5314)  1 S 1.47
O (0.0825, 0.8991, 0.5897)  1 S 1.48
O (0.0867, 0.5775, 0.9331)  1 Si 1.64
O (0.1116, 0.4189, 0.2643)  1 Si 1.63
O (0.1138, 0.5887, 0.2403)  1 Si 1.64
O (0.1142, 0.9128, 0.9079)  1 S 1.54
O (0.1169, 0.4161, 0.9748)  1 Si 1.65
O (0.1172, 0.5847, 0.5276)  1 Si 1.65
O (0.1184, 0.9137, 0.1984)  1 S 1.49
O (0.1187, 0.0824, 0.3068)  1 Si 1.67
O (0.1206, 0.7578, 0.9247)  1 S 1.48
O (0.1219, 0.2468, 0.8601)  1 Si 1.58
O (0.1219, 0.7585, 0.6368)  1 S 1.48
O (0.1240, 0.0895, 0.5902)  1 S 1.49
O (0.1267, 0.2462, 0.5794)  1 S 1.47
O (0.1787, 0.9866, 0.4095)  1 Si 1.70, 1 Nb 1.88
O (0.1802, 0.6588, 0.7381)  1 Si 1.64
O (0.1809, 0.3484, 0.7534)  1 Si 1.61
O (0.1806, 0.6826, 0.4310)  1 Si 1.62
O (0.1817, 0.0142, 0.8065)  1 Si 1.68
O (0.1825, 0.0171, 0.0935)  1 Si 1.66
O (0.1867, 0.9845, 0.6944)  1 Si 1.59
O (0.1948, 0.6790, 0.1379)  1 S 1.52
O (0.1981, 0.3188, 0.0778)  1 S 1.49
O (0.1989, 0.6546, 0.0324)  1 S 1.47
O (0.2004, 0.3223, 0.3643)  1 S 1.49
O (0.2068, 0.3541, 0.4688)  1 S 1.45
O (0.3046, 0.8538, 0.9695)  1 S 1.46
O (0.3099, 0.8219, 0.8649)  1 S 1.47
O (0.3133, 0.1546, 0.5317)  1 S 1.48
O (0.3134, 0.8192, 0.5776)  1 S 1.51
O (0.3140, 0.1796, 0.6374)  1 S 1.50
O (0.3135, 0.8495, 0.2550)  1 S 1.48
O (0.3228, 0.4861, 0.1942)  1 Si 1.59
O (0.3294, 0.5150, 0.3067)  1 Si 1.67
O (0.3293, 0.5189, 0.5904)  1 Si 1.64
O (0.3300, 0.1820, 0.9317)  1 Si 1.63
O (0.3307, 0.1579, 0.2386)  1 Si 1.64
O (0.3328, 0.4876, 0.9121)  1 Si 1.67
O (0.3843, 0.7466, 0.0811)  1 S 1.46
O (0.3875, 0.5898, 0.0914)  1 S 1.49
O (0.3895, 0.7469, 0.3596)  1 Si 1.60
O (0.3905, 0.2580, 0.1372)  1 S 1.50
O (0.3895, 0.5844, 0.8068)  1 Si 1.67
O (0.3905, 0.2578, 0.4237)  1 S 1.47
O (0.3920, 0.0852, 0.0280)  1 Si 1.63
O (0.3931, 0.9156, 0.4743)  1 Si 1.63
O (0.3967, 0.4129, 0.4073)  1 S 1.55
O (0.3985, 0.0861, 0.7403)  1 Si 1.62
O (0.3986, 0.9173, 0.7648)  1 Si 1.63
O (0.4020, 0.4211, 0.6948)  1 Si 1.65
O (0.4229, 0.0776, 0.4319)  1 Si 1.62
O (0.4294, 0.3987, 0.0906)  1 S 1.48
O (0.4304, 0.2714, 0.0321)  1 S 1.46
O (0.4321, 0.9259, 0.0814)  1 Si 1.58
O (0.4329, 0.5956, 0.4096)  1 Si 1.70, 1 Nb 1.88
O (0.4333, 0.7409, 0.7635)  1 Si 1.62
O (0.4356, 0.0750, 0.1407)  1 Si 1.68, 1 Nb 1.87
O (0.4369, 0.9400, 0.3605)  1 Si 1.60
O (0.4386, 0.2627, 0.7388)  1 Si 1.64
O (0.4394, 0.5997, 0.6943)  1 Si 1.62
O (0.4401, 0.4042, 0.8071)  1 Si 1.66
O (0.4402, 0.7370, 0.4751)  1 Si 1.63
O (0.5669, 0.7283, 0.9746)  1 Si 1.59
O (0.5697, 0.2663, 0.5275)  1 Si 1.66
O (0.5733, 0.4077, 0.5936)  1 Si 1.65
O (0.5744, 0.9302, 0.5708)  1 Si 1.65
O (0.5751, 0.0699, 0.6410)  1 Si 1.63
O (0.5756, 0.9322, 0.8595)  1 Si 1.62
O (0.5804, 0.2702, 0.2428)  1 S 1.49
O (0.5808, 0.0731, 0.9252)  1 Si 1.67, 1 Nb 1.86
O (0.5819, 0.3982, 0.3029)  1 S 1.47
O (0.5842, 0.6064, 0.1989)  1 S 1.47
O (0.5846, 0.5905, 0.9047)  1 Si 1.65
O (0.5866, 0.7347, 0.2577)  1 S 1.47
O (0.6080, 0.2488, 0.6408)  1 Si 1.64
O (0.6132, 0.7524, 0.8607)  1 Si 1.64
O (0.6159, 0.7539, 0.5720)  1 Si 1.63
O (0.6169, 0.0856, 0.5279)  1 Si 1.67, 1 Nb 1.87
O (0.6175, 0.5832, 0.5932)  1 Si 1.62
O (0.6181, 0.2588, 0.9291)  1 S 1.49
O (0.6207, 0.9241, 0.2554)  1 S 1.47
O (0.6216, 0.4140, 0.9125)  1 S 1.49
O (0.6232, 0.5922, 0.3033)  1 S 1.50
O (0.6236, 0.0805, 0.2426)  1 S 1.52
O (0.6280, 0.4109, 0.1986)  1 S 1.47
O (0.6311, 0.9222, 0.9750)  1 Si 1.59
O (0.6779, 0.4903, 0.4023)  1 Si 1.65
O (0.6776, 0.5133, 0.0907)  1 Si 1.60
O (0.6816, 0.1556, 0.0280)  1 Si 1.62
O (0.6825, 0.1813, 0.4251)  1 Si 1.64
O (0.6837, 0.1833, 0.1419)  1 Si 1.65
O (0.6838, 0.8194, 0.0831)  1 Si 1.60
O (0.6961, 0.1515, 0.7452)  1 S 1.48
O (0.6987, 0.8468, 0.7588)  1 S 1.50
O (0.6995, 0.4899, 0.6975)  1 S 1.47
O (0.7012, 0.5170, 0.8028)  1 S 1.47
O (0.7012, 0.8521, 0.4695)  1 S 1.48
O (0.7053, 0.8200, 0.3651)  1 S 1.47
O (0.8053, 0.3192, 0.8659)  1 S 1.46
O (0.8119, 0.0142, 0.3024)  1 S 1.48
O (0.8131, 0.3466, 0.2589)  1 S 1.50
O (0.8133, 0.9888, 0.1977)  1 S 1.48
O (0.8139, 0.3495, 0.9706)  1 S 1.50
O (0.8166, 0.6537, 0.2438)  1 S 1.50
O (0.8275, 0.6821, 0.9256)  1 Si 1.67, 1 Nb 1.87
O (0.8282, 0.3186, 0.5820)  1 Si 1.60
O (0.8286, 0.6840, 0.6414)  1 Si 1.65
O (0.8306, 0.6571, 0.5279)  1 Si 1.64
O (0.8342, 0.0125, 0.5898)  1 Si 1.61
O (0.8343, 0.9901, 0.9033)  1 Si 1.65
O (0.8804, 0.4210, 0.4741)  1 Si 1.58
O (0.8836, 0.9110, 0.6986)  1 S 1.47
O (0.8890, 0.4244, 0.7559)  1 S 1.47
O (0.8895, 0.5807, 0.7426)  1 S 1.54
O (0.8905, 0.0909, 0.8037)  1 S 1.52
O (0.8933, 0.0842, 0.0935)  1 Si 1.66
O (0.8927, 0.9140, 0.4090)  1 S 1.51
O (0.8941, 0.7597, 0.4274)  1 S 1.47
O (0.8952, 0.5867, 0.0281)  1 Si 1.65
O (0.8981, 0.2522, 0.3600)  1 Si 1.63
O (0.8976, 0.2538, 0.0732)  1 Si 1.61
O (0.9059, 0.7497, 0.1422)  1 Si 1.66
O (0.9242, 0.2336, 0.7583)  1 S 1.46
O (0.9279, 0.0926, 0.4040)  1 Si 1.70, 1 Nb 1.88
O (0.9283, 0.1058, 0.6992)  1 S 1.47
O (0.9293, 0.8986, 0.8031)  1 S 1.48
O (0.9305, 0.5736, 0.4248)  1 Si 1.66
O (0.9312, 0.7704, 0.7431)  1 S 1.48
O (0.9353, 0.4318, 0.3594)  1 Si 1.64
O (0.9357, 0.5693, 0.1406)  1 Si 1.68, 1 Nb 1.87
O (0.9376, 0.4297, 0.0719)  1 Si 1.63
O (0.9396, 0.9069, 0.0971)  1 Si 1.67
O (0.9430, 0.7674, 0.0284)  1 Si 1.64
O (0.9467, 0.2275, 0.4744)  1 Si 1.58

## Properties
symmetry = P1, No. 1
uncorrected energy = -1601.63 eV per cell
DFT formation energy = -194.77 eV per formula unit